No. 1
Here is a relaxed structure of MgTiSbP3O12 from the Materials Project database. Energies are from PBE-GGA.

## Properties
As for the volume: 12.62 A^3/atom. For the MP2020-corrected energy, the calculation gives -7.70 eV/atom. The value obtained for the total moment is 0.00 μB per formula unit. As for the formation energy: -2.7381 eV/atom. For the total energy, the calculation gives -7.238 eV/atom.

Structure (CIF):
```
data_MgTiSbP3O12
_chemical_formula_sum 'Mg2 Ti2 Sb2 P6 O24'
_symmetry_space_group_name_H-M 'P 1'
_symmetry_Int_Tables_number 1
_cell_length_a 8.390
_cell_length_b 8.390
_cell_length_c 8.390
_cell_angle_alpha 63.99
_cell_angle_beta 63.99
_cell_angle_gamma 63.99
loop_
_symmetry_equiv_pos_as_xyz
'x,y,z'
loop_
_atom_site_label
_atom_site_fract_x
_atom_site_fract_y
_atom_site_fract_z
P1 0.932 0.567 0.255
O1 0.746 0.085 0.917
O2 0.702 0.882 0.504
O3 0.585 0.246 0.417
O4 0.067 0.568 0.329
P2 0.567 0.255 0.932
O5 0.907 0.070 0.239
P3 0.755 0.067 0.432
O6 0.004 0.382 0.202
O7 0.239 0.907 0.070
Ti1 0.650 0.650 0.650
O8 0.567 0.829 0.068
O9 0.329 0.067 0.568
O10 0.068 0.567 0.829
O11 0.568 0.329 0.067
O12 0.917 0.746 0.085
O13 0.829 0.068 0.567
P4 0.255 0.932 0.567
Sb1 0.836 0.836 0.836
P5 0.432 0.755 0.067
O14 0.202 0.004 0.382
Mg1 0.496 0.496 0.496
O15 0.739 0.570 0.407
O16 0.382 0.202 0.004
O17 0.407 0.739 0.570
O18 0.570 0.407 0.739
Ti2 0.150 0.150 0.150
P6 0.067 0.432 0.755
O19 0.504 0.702 0.882
O20 0.070 0.239 0.907
Sb2 0.336 0.336 0.336
O21 0.882 0.504 0.702
Mg2 0.996 0.996 0.996
O22 0.246 0.417 0.585
O23 0.417 0.585 0.246
O24 0.085 0.917 0.746
```

No. 2
Here is a relaxed structure of LiPrS2O8 from the Materials Project database. Energies are from PBE-GGA.

## Properties
As for the volume: 15.60 A^3/atom. For the MP2020-corrected energy, the calculation gives -6.95 eV/atom. The value obtained for the total moment is 0.00 μB per formula unit. The distance to the lowest polymorph of the same formula is 130 meV/atom. As for the formation energy: -2.4004 eV/atom. For the total energy, the calculation gives -6.488 eV/atom.

Structure (CIF):
```
data_LiPrS2O8
_chemical_formula_sum 'Li2 Pr2 S4 O16'
_symmetry_space_group_name_H-M 'P 1'
_symmetry_Int_Tables_number 1
_cell_length_a 7.769
_cell_length_b 7.764
_cell_length_c 6.206
_cell_angle_alpha 90.00
_cell_angle_beta 90.00
_cell_angle_gamma 90.00
loop_
_symmetry_equiv_pos_as_xyz
'x,y,z'
loop_
_atom_site_label
_atom_site_fract_x
_atom_site_fract_y
_atom_site_fract_z
O1 0.907 0.178 0.332
O2 0.593 0.678 0.832
O3 0.602 0.201 0.427
O4 0.298 0.102 0.091
O5 0.398 0.799 0.427
S1 0.720 0.720 0.009
S2 0.280 0.280 0.009
O6 0.202 0.602 0.591
O7 0.898 0.701 0.927
O8 0.407 0.322 0.832
Li1 0.500 0.500 0.009
O9 0.822 0.092 0.686
Pr1 0.500 0.500 0.509
O10 0.322 0.408 0.186
O11 0.093 0.822 0.332
S3 0.220 0.780 0.509
S4 0.780 0.220 0.509
O12 0.102 0.299 0.927
O13 0.798 0.398 0.591
O14 0.678 0.592 0.186
O15 0.178 0.908 0.686
Pr2 0.000 0.000 0.009
Li2 0.000 0.000 0.509
O16 0.702 0.898 0.091
```

No. 3
Here is a relaxed structure of Co4Os from the Materials Project database. Energies are from PBE-GGA.

## Properties
As for the volume: 11.90 A^3/atom. The value obtained for the total moment is 6.35 μB per formula unit. As for the formation energy: 0.1466 eV/atom. For the total energy, the calculation gives -7.786 eV/atom.

Structure (CIF):
```
data_Co4Os
_chemical_formula_sum 'Co4 Os1'
_symmetry_space_group_name_H-M 'P 1'
_symmetry_Int_Tables_number 1
_cell_length_a 10.325
_cell_length_b 10.325
_cell_length_c 10.325
_cell_angle_alpha 14.43
_cell_angle_beta 14.43
_cell_angle_gamma 14.43
loop_
_symmetry_equiv_pos_as_xyz
'x,y,z'
loop_
_atom_site_label
_atom_site_fract_x
_atom_site_fract_y
_atom_site_fract_z
Co1 0.403 0.403 0.403
Os1 0.000 0.000 0.000
Co2 0.597 0.597 0.597
Co3 0.801 0.801 0.801
Co4 0.199 0.199 0.199
```

No. 4
Here is a relaxed structure of Te2MoWS2 from the Materials Project database. Energies are from PBE-GGA.

## Properties
As for the volume: 32.75 A^3/atom. For the MP2020-corrected energy, the calculation gives -6.96 eV/atom. The value obtained for the total moment is 0.00 μB per formula unit. The distance to the lowest polymorph of the same formula is 72 meV/atom. As for the formation energy: -0.5615 eV/atom. For the total energy, the calculation gives -6.788 eV/atom.

Structure (CIF):
```
data_Te2MoWS2
_chemical_formula_sum 'Te4 Mo2 W2 S4'
_symmetry_space_group_name_H-M 'P 1'
_symmetry_Int_Tables_number 1
_cell_length_a 3.365
_cell_length_b 3.365
_cell_length_c 40.082
_cell_angle_alpha 90.00
_cell_angle_beta 90.00
_cell_angle_gamma 120.00
loop_
_symmetry_equiv_pos_as_xyz
'x,y,z'
loop_
_atom_site_label
_atom_site_fract_x
_atom_site_fract_y
_atom_site_fract_z
S1 0.333 0.667 0.320
W1 0.667 0.333 0.904
S2 0.667 0.333 0.680
Mo1 0.667 0.333 0.282
Te1 0.333 0.667 0.857
Mo2 0.333 0.667 0.718
S3 0.667 0.333 0.756
W2 0.333 0.667 0.096
Te2 0.667 0.333 0.048
Te3 0.333 0.667 0.952
S4 0.333 0.667 0.244
Te4 0.667 0.333 0.143
```